DFT (GGA-PBE) results for Tl2In3Se5 after structural relaxation.

Summary:
- space-group type = C222
- formation energy (eV per atom) = -0.74

abc: 6.7989 6.7989 58.1950
angles: 90.00 90.00 118.50
With the nearest neighbours (Å) after each atom.
Fractional positions:
Tl  0.0000  0.5000  0.0500  2 Tl 3.48, 8 Se 3.51-3.52
Tl  0.0000  0.5000  0.1500  2 Tl 3.48, 8 Se 3.51-3.52
Tl  0.0000  0.5000  0.2500  2 Tl 3.48, 8 Se 3.51-3.52
Tl  0.0000  0.5000  0.3500  2 In 3.48, 8 Se 3.50-3.52
Tl  0.0000  0.5000  0.5500  2 In 3.48, 8 Se 3.51-3.52
Tl  0.0000  0.5000  0.7500  2 Tl 3.48, 8 Se 3.51-3.52
Tl  0.0000  0.5000  0.8500  2 Tl 3.48, 8 Se 3.51-3.52
Tl  0.0000  0.5000  0.9500  2 Tl 3.48, 8 Se 3.51-3.52
Tl  0.5000  0.0000  0.0500  2 Tl 3.48, 8 Se 3.51-3.52
Tl  0.5000  0.0000  0.1500  2 Tl 3.48, 8 Se 3.51-3.52
Tl  0.5000  0.0000  0.2500  2 Tl 3.48, 8 Se 3.51-3.52
Tl  0.5000  0.0000  0.4500  2 In 3.48, 8 Se 3.51-3.52
Tl  0.5000  0.0000  0.6500  2 In 3.48, 8 Se 3.50-3.52
Tl  0.5000  0.0000  0.7500  2 Tl 3.48, 8 Se 3.51-3.52
Tl  0.5000  0.0000  0.8500  2 Tl 3.48, 8 Se 3.51-3.52
Tl  0.5000  0.0000  0.9500  2 Tl 3.48, 8 Se 3.51-3.52
In  0.0000  0.5000  0.4500  2 Tl 3.48, 8 Se 3.51-3.52
In  0.0000  0.5000  0.6501  2 Tl 3.48, 8 Se 3.50-3.52
In  0.2495  0.2498  0.3000  4 Se 2.65
In  0.2498  0.2495  0.7000  4 Se 2.65
In  0.2503  0.2503  0.0000  4 Se 2.65
In  0.2495  0.2496  0.1000  4 Se 2.65
In  0.2504  0.2505  0.2000  4 Se 2.65
In  0.2496  0.2496  0.5000  4 Se 2.65
In  0.2505  0.2504  0.8000  4 Se 2.65
In  0.2496  0.2495  0.9000  4 Se 2.65
In  0.2504  0.2505  0.6000  4 Se 2.65
In  0.2505  0.2504  0.4000  4 Se 2.65
In  0.5000  0.0000  0.3499  2 Tl 3.48, 8 Se 3.50-3.52
In  0.5000  0.0000  0.5500  2 Tl 3.48, 8 Se 3.51-3.52
In  0.7495  0.7496  0.4000  4 Se 2.65
In  0.7496  0.7495  0.6000  4 Se 2.65
In  0.7497  0.7497  0.0000  4 Se 2.65
In  0.7505  0.7504  0.1000  4 Se 2.65
In  0.7496  0.7495  0.2000  4 Se 2.65
In  0.7504  0.7504  0.5000  4 Se 2.65
In  0.7495  0.7496  0.8000  4 Se 2.65
In  0.7504  0.7505  0.9000  4 Se 2.65
In  0.7502  0.7505  0.7000  4 Se 2.65
In  0.7505  0.7502  0.3000  4 Se 2.65
Se  0.0000  0.0000  0.0343  2 In 2.65
Se  0.0000  0.0000  0.1657  2 In 2.65
Se  0.0000  0.0000  0.2343  2 In 2.65
Se  0.0000  0.0000  0.3656  2 In 2.65
Se  0.0000  0.0000  0.4344  2 In 2.65
Se  0.0000  0.0000  0.5656  2 In 2.65
Se  0.0000  0.0000  0.6344  2 In 2.65
Se  0.0000  0.0000  0.7657  2 In 2.65
Se  0.0000  0.0000  0.8343  2 In 2.65
Se  0.0000  0.0000  0.9657  2 In 2.65
Se  0.1704  0.8282  0.6998  2 In 2.65
Se  0.1709  0.8290  0.1000  2 In 2.65
Se  0.1712  0.8288  0.5000  2 In 2.65
Se  0.1710  0.8291  0.9000  2 In 2.65
Se  0.1718  0.8296  0.3002  2 In 2.65
Se  0.3290  0.6710  0.0000  2 In 2.65
Se  0.3291  0.6710  0.2000  2 In 2.65
Se  0.3287  0.6711  0.4000  2 In 2.65
Se  0.3289  0.6713  0.6000  2 In 2.65
Se  0.3290  0.6709  0.8000  2 In 2.65
Se  0.5000  0.5000  0.0657  2 In 2.65
Se  0.5000  0.5000  0.1343  2 In 2.65
Se  0.5000  0.5000  0.2657  2 In 2.65
Se  0.5000  0.5000  0.3344  2 In 2.65
Se  0.5000  0.5000  0.4656  2 In 2.65
Se  0.5000  0.5000  0.5344  2 In 2.65
Se  0.5000  0.5000  0.6656  2 In 2.65
Se  0.5000  0.5000  0.7343  2 In 2.65
Se  0.5000  0.5000  0.8657  2 In 2.65
Se  0.5000  0.5000  0.9343  2 In 2.65
Se  0.6710  0.3290  0.0000  2 In 2.65
Se  0.6709  0.3290  0.2000  2 In 2.65
Se  0.6713  0.3289  0.4000  2 In 2.65
Se  0.6711  0.3287  0.6000  2 In 2.65
Se  0.6710  0.3291  0.8000  2 In 2.65
Se  0.8282  0.1704  0.3002  2 In 2.65
Se  0.8291  0.1710  0.1000  2 In 2.65
Se  0.8288  0.1712  0.5000  2 In 2.65
Se  0.8290  0.1709  0.9000  2 In 2.65
Se  0.8296  0.1718  0.6998  2 In 2.65